Entry 1:
Material: BaNiO3
Method: DFT, r²SCAN
State: optimized geometry

Cell and atoms, written as POSCAR:
```
BaNiO3
1.0
5.6775 0.0000 0.0000
-2.8388 4.9169 0.0000
0.0000 0.0000 4.7833
Ba Ni O
2 2 6
direct
0.3333 0.6667 0.0000 Ba
0.6667 0.3333 0.5000 Ba
0.0000 0.0000 0.2392 Ni
0.0000 0.0000 0.7392 Ni
0.1465 0.2930 0.4890 O
0.1465 0.8535 0.4890 O
0.2930 0.1465 0.9890 O
0.7070 0.8535 0.4890 O
0.8535 0.1465 0.9890 O
0.8535 0.7070 0.9890 O
```

* calculated volume: 13.35 A^3/atom
* SG: P6_3mc
* energy relative to the elements: -1.934 eV/atom



Entry 2:
Material: BaNiO3
Method: DFT, r²SCAN
State: optimized geometry

Cell and atoms, written as POSCAR:
```
BaNiO3
1.0
5.6766 0.0000 0.0000
-2.8383 4.9161 0.0000
0.0000 0.0000 4.7820
Ba Ni O
2 2 6
direct
0.3333 0.6667 0.2500 Ba
0.6667 0.3333 0.7500 Ba
0.0000 0.0000 0.0000 Ni
0.0000 0.0000 0.5000 Ni
0.1466 0.2931 0.7500 O
0.1466 0.8534 0.7500 O
0.2931 0.1466 0.2500 O
0.7069 0.8534 0.7500 O
0.8534 0.1466 0.2500 O
0.8534 0.7069 0.2500 O
```

* calculated volume: 13.34 A^3/atom
* SG: P6_3/mmc
* energy relative to the elements: -1.935 eV/atom



Entry 3:
Material: Ba3NiRu2O9
Method: DFT, r²SCAN
State: optimized geometry

Cell and atoms, written as POSCAR:
```
Ba3NiRu2O9
1.0
5.7674 0.0000 0.0000
-2.8837 4.9947 0.0000
0.0000 0.0000 14.1454
Ba Ni Ru O
6 2 4 18
direct
0.0000 0.0000 0.2500 Ba
0.0000 0.0000 0.7500 Ba
0.3333 0.6667 0.0895 Ba
0.3333 0.6667 0.4105 Ba
0.6667 0.3333 0.5895 Ba
0.6667 0.3333 0.9105 Ba
0.0000 0.0000 0.0000 Ni
0.0000 0.0000 0.5000 Ni
0.3333 0.6667 0.6530 Ru
0.3333 0.6667 0.8470 Ru
0.6667 0.3333 0.1530 Ru
0.6667 0.3333 0.3470 Ru
0.0320 0.5160 0.7500 O
0.1701 0.3401 0.5822 O
0.1701 0.3401 0.9178 O
0.1701 0.8299 0.5822 O
0.1701 0.8299 0.9178 O
0.3401 0.1701 0.0822 O
0.3401 0.1701 0.4178 O
0.4840 0.5160 0.7500 O
0.4840 0.9680 0.7500 O
0.5160 0.0320 0.2500 O
0.5160 0.4840 0.2500 O
0.6599 0.8299 0.5822 O
0.6599 0.8299 0.9178 O
0.8299 0.1701 0.0822 O
0.8299 0.1701 0.4178 O
0.8299 0.6599 0.0822 O
0.8299 0.6599 0.4178 O
0.9680 0.4840 0.2500 O
```

* calculated volume: 13.58 A^3/atom
* SG: P6_3/mmc
* energy relative to the elements: -2.053 eV/atom



Entry 4:
Material: BaSrV4Ni4O16
Method: DFT, r²SCAN
State: optimized geometry

Cell and atoms, written as POSCAR:
```
BaSrV4Ni4O16
1.0
-6.1185 6.1185 4.1393
6.1185 -6.1185 4.1393
6.1185 6.1185 -4.1393
Ba Sr V Ni O
2 2 8 8 32
direct
0.0000 0.0000 0.0000 Ba
0.5000 0.5000 0.0000 Ba
0.2500 0.7500 0.5000 Sr
0.7500 0.2500 0.5000 Sr
0.2945 0.1220 0.6675 V
0.3730 0.7055 0.8275 V
0.3780 0.2055 0.3325 V
0.4545 0.6270 0.3325 V
0.7945 0.1270 0.1725 V
0.8730 0.0455 0.6675 V
0.8780 0.5455 0.1725 V
0.9545 0.6220 0.8275 V
0.0808 0.4192 0.0000 Ni
0.1674 0.3326 0.5000 Ni
0.3326 0.8326 0.1651 Ni
0.4192 0.0808 0.0000 Ni
0.5808 0.5808 0.6616 Ni
0.6674 0.1674 0.8349 Ni
0.8326 0.6674 0.5000 Ni
0.9192 0.9192 0.3384 Ni
0.0632 0.2320 0.8390 O
0.0805 0.9128 0.5114 O
0.0872 0.5986 0.1677 O
0.1682 0.8315 0.9852 O
0.1685 0.1538 0.3367 O
0.1829 0.5220 0.6550 O
0.2680 0.4368 0.1610 O
0.2758 0.1071 0.8390 O
0.3170 0.6538 0.9852 O
0.3462 0.3315 0.6633 O
0.3671 0.0220 0.3392 O
0.3929 0.2242 0.1610 O
0.4014 0.5691 0.4886 O
0.4309 0.9195 0.8323 O
0.4721 0.8171 0.3392 O
0.4780 0.1329 0.6608 O
0.5632 0.7242 0.8312 O
0.5805 0.0691 0.1677 O
0.5872 0.4195 0.4886 O
0.6682 0.6830 0.3367 O
0.6685 0.3318 0.0148 O
0.6829 0.0279 0.6608 O
0.7680 0.6071 0.8312 O
0.7758 0.9368 0.1688 O
0.8170 0.8318 0.6633 O
0.8462 0.1830 0.0148 O
0.8671 0.5279 0.3450 O
0.8929 0.7320 0.1688 O
0.9014 0.4128 0.8323 O
0.9309 0.0986 0.5114 O
0.9721 0.6329 0.6550 O
0.9780 0.3171 0.3450 O
```

* calculated volume: 11.92 A^3/atom
* SG: I-4c2
* energy relative to the elements: -2.352 eV/atom



Entry 5:
Material: Ba3Y4Ni3O15
Method: DFT, r²SCAN
State: optimized geometry

Cell and atoms, written as POSCAR:
```
Ba3Y4Ni3O15
1.0
5.6953 -2.8377 0.0000
5.6953 2.8377 0.0000
-3.6251 0.0000 10.6864
Ba Y Ni O
3 4 3 15
direct
0.0000 0.0000 0.0000 Ba
0.0088 0.0088 0.6750 Ba
0.9912 0.9912 0.3250 Ba
0.2914 0.2914 0.5994 Y
0.2909 0.2909 0.9259 Y
0.7091 0.7091 0.0741 Y
0.7086 0.7086 0.4006 Y
0.4892 0.4892 0.1658 Ni
0.5000 0.5000 0.5000 Ni
0.5108 0.5108 0.8342 Ni
0.1263 0.5948 0.1061 O
0.1337 0.6056 0.4751 O
0.1616 0.5928 0.7892 O
0.3944 0.8663 0.5249 O
0.4052 0.8737 0.8939 O
0.4072 0.8384 0.2108 O
0.4986 0.4986 0.3331 O
0.5000 0.5000 0.0000 O
0.5014 0.5014 0.6669 O
0.5928 0.1616 0.7892 O
0.5948 0.1263 0.1061 O
0.6056 0.1337 0.4751 O
0.8384 0.4072 0.2108 O
0.8663 0.3944 0.5249 O
0.8737 0.4052 0.8939 O
```

* calculated volume: 13.82 A^3/atom
* SG: C2/m
* energy relative to the elements: -2.496 eV/atom



Entry 6:
Material: BaYb2NiO5
Method: DFT, r²SCAN
State: optimized geometry

Cell and atoms, written as POSCAR:
```
BaYb2NiO5
1.0
-1.8682 2.8386 5.5652
1.8682 -2.8386 5.5652
1.8682 2.8386 -5.5652
Ba Yb Ni O
1 2 1 5
direct
0.0000 0.0000 0.0000 Ba
0.2971 0.7971 0.5000 Yb
0.7029 0.2029 0.5000 Yb
0.5000 0.5000 0.0000 Ni
0.1092 0.3479 0.7614 O
0.4135 0.6521 0.7614 O
0.5000 0.0000 0.5000 O
0.5865 0.3479 0.2386 O
0.8908 0.6521 0.2386 O
```

* calculated volume: 13.12 A^3/atom
* SG: Immm
* energy relative to the elements: -3.116 eV/atom



Entry 7:
Material: BaNi9P5
Method: DFT, r²SCAN
State: optimized geometry

Cell and atoms, written as POSCAR:
```
BaNi9P5
1.0
6.4675 0.0000 0.0000
-3.2337 5.6010 0.0000
0.0000 0.0000 10.8192
Ba Ni P
2 18 10
direct
0.0000 0.0000 0.0000 Ba
0.0000 0.0000 0.5000 Ba
0.0712 0.5356 0.1075 Ni
0.0712 0.5356 0.3925 Ni
0.2033 0.4067 0.7500 Ni
0.2033 0.7967 0.7500 Ni
0.4067 0.2033 0.2500 Ni
0.4644 0.5356 0.1075 Ni
0.4644 0.5356 0.3925 Ni
0.4644 0.9288 0.1075 Ni
0.4644 0.9288 0.3925 Ni
0.5356 0.0712 0.6075 Ni
0.5356 0.0712 0.8925 Ni
0.5356 0.4644 0.6075 Ni
0.5356 0.4644 0.8925 Ni
0.5933 0.7967 0.7500 Ni
0.7967 0.2033 0.2500 Ni
0.7967 0.5933 0.2500 Ni
0.9288 0.4644 0.6075 Ni
0.9288 0.4644 0.8925 Ni
0.1759 0.3517 0.2500 P
0.1759 0.8241 0.2500 P
0.3333 0.6667 0.5610 P
0.3333 0.6667 0.9390 P
0.3517 0.1759 0.7500 P
0.6483 0.8241 0.2500 P
0.6667 0.3333 0.0610 P
0.6667 0.3333 0.4390 P
0.8241 0.1759 0.7500 P
0.8241 0.6483 0.7500 P
```

* calculated volume: 13.06 A^3/atom
* SG: P6_3/mmc
* energy relative to the elements: -0.689 eV/atom



Entry 8:
Material: Ba8Si43Ni3
Method: DFT, r²SCAN
State: optimized geometry

Cell and atoms, written as POSCAR:
```
Ba8Si43Ni3
1.0
7.3037 4.2168 5.9555
-7.3037 4.2168 5.9555
0.0000 -8.4335 5.9555
Ba Si Ni
8 43 3
direct
0.0000 0.2383 0.7617 Ba
0.2383 0.7617 0.0000 Ba
0.2380 0.7620 0.5000 Ba
0.2465 0.2465 0.2465 Ba
0.5000 0.2380 0.7620 Ba
0.7535 0.7535 0.7535 Ba
0.7617 0.0000 0.2383 Ba
0.7620 0.5000 0.2380 Ba
0.0559 0.6330 0.7490 Si
0.0658 0.0658 0.0658 Si
0.0661 0.0667 0.4363 Si
0.0667 0.4363 0.0661 Si
0.0670 0.4362 0.4350 Si
0.0673 0.8821 0.7494 Si
0.1179 0.9327 0.2506 Si
0.1209 0.5697 0.2503 Si
0.2503 0.1209 0.5697 Si
0.2506 0.1179 0.9327 Si
0.2507 0.3642 0.5572 Si
0.2510 0.3670 0.9441 Si
0.2509 0.5000 0.7491 Si
0.3642 0.5572 0.2507 Si
0.3670 0.9441 0.2510 Si
0.4303 0.8791 0.7497 Si
0.4350 0.0670 0.4362 Si
0.4349 0.4349 0.4349 Si
0.4363 0.0661 0.0667 Si
0.4362 0.4350 0.0670 Si
0.4428 0.6358 0.7493 Si
0.5000 0.7491 0.2509 Si
0.5572 0.2507 0.3642 Si
0.5638 0.9330 0.5650 Si
0.5637 0.9333 0.9339 Si
0.5650 0.5638 0.9330 Si
0.5651 0.5651 0.5651 Si
0.5697 0.2503 0.1209 Si
0.6330 0.7490 0.0559 Si
0.6358 0.7493 0.4428 Si
0.7490 0.0559 0.6330 Si
0.7494 0.0672 0.8821 Si
0.7491 0.2509 0.5000 Si
0.7493 0.4428 0.6358 Si
0.7497 0.4303 0.8791 Si
0.8791 0.7497 0.4303 Si
0.8821 0.7494 0.0672 Si
0.9328 0.2506 0.1179 Si
0.9330 0.5650 0.5638 Si
0.9333 0.9339 0.5637 Si
0.9339 0.5637 0.9333 Si
0.9342 0.9342 0.9342 Si
0.9441 0.2510 0.3670 Si
0.0000 0.7504 0.2496 Ni
0.2496 0.0000 0.7504 Ni
0.7504 0.2496 0.0000 Ni
```

* calculated volume: 20.38 A^3/atom
* SG: R32
* energy relative to the elements: -0.221 eV/atom



Entry 9:
Material: Ba2Si3Ni
Method: DFT, r²SCAN
State: optimized geometry

Cell and atoms, written as POSCAR:
```
Ba2Si3Ni
1.0
11.4795 0.0000 0.0000
-5.7398 9.9415 0.0000
0.0000 0.0000 3.8892
Ba Si Ni
6 9 3
direct
0.0000 0.2872 0.0000 Ba
0.0000 0.6180 0.0000 Ba
0.2872 0.0000 0.0000 Ba
0.3820 0.3820 0.0000 Ba
0.6180 0.0000 0.0000 Ba
0.7128 0.7128 0.0000 Ba
0.0000 0.8783 0.5000 Si
0.1217 0.1217 0.5000 Si
0.2219 0.5380 0.5000 Si
0.3160 0.7781 0.5000 Si
0.4620 0.6840 0.5000 Si
0.5380 0.2219 0.5000 Si
0.6840 0.4620 0.5000 Si
0.7781 0.3160 0.5000 Si
0.8783 0.0000 0.5000 Si
0.0000 0.0000 0.0000 Ni
0.3333 0.6667 0.0000 Ni
0.6667 0.3333 0.0000 Ni
```

* calculated volume: 24.66 A^3/atom
* SG: P-62m
* energy relative to the elements: -0.504 eV/atom



Entry 10:
Material: BaNpO4
Method: DFT, r²SCAN
State: optimized geometry

Cell and atoms, written as POSCAR:
```
BaNpO4
1.0
5.7823 0.0000 0.0000
0.0000 8.1170 0.0000
0.0000 0.0000 8.1920
Ba Np O
4 4 16
direct
0.0221 0.1964 0.2500 Ba
0.0221 0.3036 0.7500 Ba
0.9779 0.6964 0.2500 Ba
0.9779 0.8036 0.7500 Ba
0.5000 0.0000 0.0000 Np
0.5000 0.0000 0.5000 Np
0.5000 0.5000 0.0000 Np
0.5000 0.5000 0.5000 Np
0.2057 0.5742 0.5674 O
0.2057 0.5742 0.9326 O
0.2057 0.9258 0.0674 O
0.2057 0.9258 0.4326 O
0.3559 0.2500 0.0000 O
0.3559 0.2500 0.5000 O
0.3832 0.5248 0.2500 O
0.3832 0.9752 0.7500 O
0.6168 0.0248 0.2500 O
0.6168 0.4752 0.7500 O
0.6441 0.7500 0.0000 O
0.6441 0.7500 0.5000 O
0.7943 0.0742 0.5674 O
0.7943 0.0742 0.9326 O
0.7943 0.4258 0.0674 O
0.7943 0.4258 0.4326 O
```

* calculated volume: 16.02 A^3/atom
* SG: Pbcm
* energy relative to the elements: -3.311 eV/atom



Entry 11:
Material: BaP4O11
Method: DFT, r²SCAN
State: optimized geometry

Cell and atoms, written as POSCAR:
```
BaP4O11
1.0
9.1905 0.0000 0.0000
0.0000 12.8433 0.0000
-8.7407 0.0000 9.5137
Ba P O
4 16 44
direct
0.0392 0.0175 0.2688 Ba
0.0392 0.4825 0.7688 Ba
0.9608 0.5175 0.2312 Ba
0.9608 0.9825 0.7312 Ba
0.3397 0.2117 0.9227 P
0.3397 0.2883 0.4227 P
0.3732 0.6618 0.6056 P
0.3732 0.8382 0.1056 P
0.3967 0.6710 0.2785 P
0.3967 0.8290 0.7785 P
0.4811 0.0039 0.6851 P
0.4811 0.4961 0.1851 P
0.5189 0.5039 0.8149 P
0.5189 0.9961 0.3149 P
0.6033 0.1710 0.2215 P
0.6033 0.3290 0.7215 P
0.6268 0.1618 0.8944 P
0.6268 0.3382 0.3944 P
0.6603 0.7117 0.5773 P
0.6603 0.7883 0.0773 P
0.1973 0.2038 0.3386 O
0.1973 0.2962 0.8386 O
0.1981 0.6058 0.4877 O
0.1981 0.8942 0.9877 O
0.2371 0.6208 0.2579 O
0.2371 0.8792 0.7579 O
0.2825 0.5126 0.0465 O
0.2825 0.9874 0.5465 O
0.2837 0.1012 0.8974 O
0.2837 0.3988 0.3974 O
0.3126 0.7473 0.6586 O
0.3126 0.7527 0.1586 O
0.3426 0.5278 0.7921 O
0.3426 0.9722 0.2921 O
0.4594 0.0946 0.7633 O
0.4591 0.2393 0.0864 O
0.4591 0.2607 0.5864 O
0.4594 0.4054 0.2633 O
0.4628 0.0972 0.2164 O
0.4628 0.4028 0.7164 O
0.4821 0.7288 0.5752 O
0.4821 0.7712 0.0752 O
0.5179 0.2288 0.9248 O
0.5179 0.2712 0.4248 O
0.5372 0.5972 0.2836 O
0.5372 0.9028 0.7836 O
0.5406 0.5946 0.7367 O
0.5409 0.7393 0.4136 O
0.5409 0.7607 0.9136 O
0.5406 0.9054 0.2367 O
0.6574 0.0278 0.7079 O
0.6574 0.4722 0.2079 O
0.6874 0.2473 0.8414 O
0.6874 0.2527 0.3414 O
0.7163 0.6012 0.6026 O
0.7163 0.8988 0.1026 O
0.7175 0.0126 0.4535 O
0.7175 0.4874 0.9535 O
0.7629 0.1208 0.2421 O
0.7629 0.3792 0.7421 O
0.8019 0.1058 0.0123 O
0.8019 0.3942 0.5123 O
0.8027 0.7038 0.1614 O
0.8027 0.7962 0.6614 O
```

* calculated volume: 17.55 A^3/atom
* SG: P2_1/c
* energy relative to the elements: -2.486 eV/atom



Let's list total energy in order: -0.486 -0.486 -0.556 -0.428 -0.513 -0.692 -0.465 -0.434 -0.578 -0.939 -0.386 Ha/atom.